No. 1
A plane-wave DFT calculation with GGA+U was carried out for a relaxed structure of Li9Mn7O16.

Geometry as POSCAR:
```
Li9Mn7O16
1.0
3.011 0.000 0.000
-0.163 5.096 0.000
-1.386 -0.941 19.385
O Mn Li
16 7 9
Cartesian
0.665 0.332 11.016
1.211 3.351 1.239
2.567 2.617 3.666
-0.570 1.055 8.320
0.250 0.804 18.146
1.320 0.232 3.640
2.031 3.099 11.065
-0.020 0.988 1.197
0.902 1.814 6.060
1.481 3.167 18.188
2.335 4.638 6.172
0.796 3.823 8.369
-0.874 -0.483 13.213
0.142 3.923 15.745
0.559 2.341 13.325
-1.106 1.538 15.719
-0.082 2.548 0.000
1.270 1.793 2.439
0.511 3.911 12.021
0.191 2.361 16.946
0.951 0.244 7.364
-1.134 3.102 14.497
2.596 1.053 4.888
0.731 2.077 9.693
1.047 3.558 4.840
-0.693 -0.471 9.693
-0.316 4.343 2.430
1.777 -0.188 16.955
2.369 2.867 7.345
1.505 0.000 0.000
-0.908 1.288 12.041
0.414 0.596 14.546
```

Final energy: -0.23617 hartree per atom



No. 2
A plane-wave DFT calculation with GGA+U was carried out for a relaxed structure of Co2PO4F.

Geometry as POSCAR:
```
Co2PO4F
1.0
-0.343 -4.037 -6.119
5.597 -2.491 -4.041
2.137 -9.565 1.007
Co O F P
8 16 4 4
Cartesian
4.227 -10.288 -2.431
5.049 -7.268 -3.430
0.692 -3.342 -5.085
3.164 -5.805 -6.722
1.984 -5.811 -3.345
2.342 -8.825 -5.723
6.699 -12.751 -4.069
5.407 -10.282 -5.808
2.494 -8.698 0.119
6.332 -12.125 -6.071
0.969 -4.034 -0.544
3.989 -5.537 -2.915
5.645 -9.146 -7.573
3.495 -7.802 -7.193
3.402 -10.556 -6.239
4.901 -5.105 -5.844
1.059 -3.969 -3.083
5.680 -14.197 -7.431
1.746 -6.947 -1.580
6.423 -12.059 -8.609
3.896 -8.291 -1.960
4.897 -7.395 -9.272
1.711 -1.896 -1.722
2.490 -10.988 -3.310
5.085 -11.544 -3.832
4.617 -9.008 -4.383
2.774 -7.085 -4.770
2.306 -4.549 -5.321
6.614 -12.957 -7.349
4.420 -8.468 -8.247
2.972 -7.625 -0.907
0.777 -3.136 -1.804
```

Final energy: -0.24081 hartree per atom



No. 3
A plane-wave DFT calculation with GGA+U was carried out for a relaxed structure of Li2VFeP2H2O10.

Geometry as POSCAR:
```
Li2VFeP2H2O10
1.0
5.442 0.000 0.000
-2.657 7.023 0.000
-0.655 -1.655 14.372
O H P Fe Li V
30 6 6 3 6 3
Cartesian
0.418 5.787 3.090
1.714 -0.426 11.286
3.774 0.561 7.882
4.274 -0.155 11.236
-0.965 2.208 3.676
-0.267 4.005 8.465
3.118 -1.231 13.257
1.219 0.298 7.913
0.295 0.082 13.821
4.473 1.045 1.433
0.461 1.841 10.127
-1.652 4.818 6.468
1.839 5.282 0.554
0.902 5.077 6.451
1.941 2.077 12.717
2.387 1.374 5.902
2.361 2.540 8.160
-0.228 0.044 5.345
-0.987 6.595 1.118
0.194 3.290 1.654
1.660 3.534 4.236
-0.257 2.841 6.213
3.076 3.032 1.703
2.369 5.311 9.024
3.106 3.154 10.701
-2.338 4.321 12.945
0.482 4.613 11.007
1.669 0.748 3.361
-0.941 2.334 12.689
-2.144 5.525 3.143
-2.590 6.387 4.681
1.494 2.955 14.261
0.782 1.158 9.481
1.351 4.205 4.899
4.725 -1.022 9.674
0.635 2.413 0.109
-0.949 6.386 2.669
2.417 1.157 7.452
-0.298 4.220 6.918
3.140 2.940 12.248
-1.002 2.428 2.126
3.082 -1.023 11.705
1.422 3.575 9.575
0.384 0.963 11.984
1.747 4.406 2.397
3.420 3.174 5.153
2.709 1.381 0.369
-0.577 3.987 14.007
3.445 0.413 4.414
-1.295 2.200 9.216
-1.314 4.952 9.955
0.710 1.796 4.794
-2.655 7.020 0.003
2.456 6.196 7.178
```

Final energy: -0.24548 hartree per atom



No. 4
A plane-wave DFT calculation with GGA+U was carried out for a relaxed structure of CoH32C8S4N2O10.

Geometry as POSCAR:
```
CoH32C8S4N2O10
1.0
-5.958 4.940 -7.859
4.078 -5.971 -6.844
-4.799 -11.241 -3.427
O H C S N Co
20 64 16 8 4 2
Cartesian
1.349 -7.188 -9.485
-5.289 3.415 -8.722
-8.028 -5.084 -8.646
-3.246 -3.497 -3.355
-5.853 -9.785 -14.414
-5.840 -8.957 -5.325
-4.963 -11.866 -13.388
-0.994 -12.856 -11.124
-2.614 -4.861 -11.593
-4.065 -7.411 -6.538
-5.174 -4.291 -7.118
-2.639 -7.251 -4.509
-0.826 -2.487 -3.716
-4.040 -5.021 -13.622
-1.716 -0.406 -4.743
-1.391 -15.687 -9.409
-3.433 -8.775 -14.776
-0.839 -3.316 -12.806
-1.506 -7.981 -11.013
-5.686 0.584 -7.007
-2.203 -12.923 -7.761
-4.904 -6.605 -9.482
-2.716 -3.082 -7.596
-3.378 -0.734 -10.712
-5.732 -7.623 -15.626
-6.035 -9.162 -11.895
-2.707 -6.261 -4.626
-6.089 -9.952 -15.365
-3.972 -6.011 -13.505
-2.352 -9.305 -7.037
-6.870 -7.479 -13.583
-4.621 -11.833 -15.756
-4.618 -6.591 -6.627
0.321 -2.839 -9.704
-0.329 -6.492 -4.850
-0.807 -8.272 -10.394
-4.118 -8.832 -8.779
-6.388 -6.483 -10.478
-2.561 -3.441 -9.352
-6.095 -7.992 -7.843
-2.058 -0.439 -2.375
-3.963 -9.190 -10.535
-0.028 -11.299 -9.045
-0.291 -5.789 -7.653
-1.756 -1.980 -8.672
-5.872 -4.000 -7.737
0.295 -2.188 -7.468
-0.591 -2.321 -2.766
-7.530 -1.384 -10.578
-1.826 -5.151 -6.925
-4.327 -2.967 -11.094
-2.154 -11.158 -5.403
-4.963 2.856 -7.989
-4.477 0.651 -10.370
-7.000 -9.434 -8.427
-1.175 0.079 -4.057
-7.584 -7.810 -8.865
-2.061 -5.681 -11.504
-4.525 -1.114 -12.728
-7.551 -8.472 -11.187
-4.620 -5.925 -4.303
-5.169 -2.836 -9.498
-6.113 -3.188 -10.979
-0.644 -3.111 -6.236
0.190 -4.794 -4.548
-4.269 -0.630 -9.134
-0.566 -9.085 -7.152
-4.853 -7.121 -11.206
0.872 -3.801 -6.943
-6.350 -5.781 -13.281
-0.585 -4.280 -10.288
0.851 -10.888 -7.553
-3.301 -11.538 -7.418
-1.716 -15.128 -10.142
-1.775 -5.667 -8.649
-0.947 -4.650 -2.505
-6.651 -0.974 -9.085
-4.924 -10.293 -9.458
-5.504 -12.351 -14.074
0.905 -4.462 -9.266
-2.059 -6.348 -13.828
-6.974 -10.084 -10.662
-2.410 -11.642 -8.996
-1.510 -9.436 -8.633
0.451 -5.850 -4.422
-4.618 -9.258 -9.656
-1.207 -5.214 -7.828
-5.241 -2.658 -10.577
0.014 -3.864 -9.472
-2.378 -11.853 -7.921
0.049 -11.503 -7.974
-2.062 -3.014 -8.475
-6.728 -0.770 -10.156
-5.472 -7.059 -10.302
-1.438 -9.615 -7.553
-7.130 -6.422 -13.709
-4.301 -0.419 -10.210
-0.016 -3.183 -7.129
-6.663 -9.089 -11.001
-6.693 -8.409 -8.658
-3.693 -4.259 -4.769
-2.323 -1.862 -4.042
-2.986 -8.013 -13.362
-5.307 -10.532 -5.446
-2.544 -4.303 -13.150
-1.373 -1.741 -12.685
-4.356 -10.411 -14.088
-4.135 -7.969 -4.981
-5.860 -8.453 -9.904
-5.444 -1.188 -10.806
-1.236 -11.085 -7.324
-0.819 -3.820 -8.227
-5.378 -3.151 -5.643
0.000 0.000 0.000
```

Final energy: -0.18766 hartree per atom



No. 5
A plane-wave DFT calculation with GGA+U was carried out for a relaxed structure of YWBrO4.

Geometry as POSCAR:
```
YWBrO4
1.0
7.036 0.000 0.000
-0.550 7.328 0.000
-3.421 -2.901 10.129
O Y Br W
16 4 4 4
Cartesian
-0.384 0.352 8.111
-2.383 2.821 6.783
2.876 2.383 4.529
-0.505 4.859 8.268
-2.781 -1.414 8.051
0.945 2.577 9.690
5.448 1.606 3.346
2.470 0.912 7.074
1.772 3.723 7.117
1.293 0.704 3.012
0.595 3.515 3.055
5.846 5.842 2.078
3.449 4.075 2.018
2.120 1.850 0.440
0.189 2.044 5.600
3.570 -0.432 1.861
3.380 1.817 2.354
2.084 -1.311 7.402
0.981 5.739 2.727
-0.315 2.610 7.775
-2.416 2.432 9.947
0.076 -1.470 5.265
5.481 1.995 0.182
2.989 5.897 4.864
4.219 5.582 1.352
2.942 2.497 6.342
-1.154 -1.155 8.777
0.123 1.930 3.787
```

Final energy: -0.27158 hartree per atom



No. 6
A plane-wave DFT calculation with GGA+U was carried out for a relaxed structure of LiVO2.

Geometry as POSCAR:
```
LiVO2
1.0
0.041 -1.531 3.969
5.507 3.976 3.762
-2.549 4.577 -0.484
O V Li
8 4 4
Cartesian
2.606 3.145 2.360
4.429 3.570 7.055
0.656 1.860 4.157
0.380 4.637 2.946
0.872 0.881 1.491
2.371 4.390 5.117
2.115 6.901 3.815
-1.401 2.681 2.220
0.625 2.711 2.204
0.904 0.029 3.442
2.124 6.220 5.832
2.362 5.070 3.101
-1.423 3.401 0.212
2.627 2.335 4.318
0.401 3.910 4.954
4.410 4.375 5.091
```

Final energy: -0.25433 hartree per atom



No. 7
A plane-wave DFT calculation with GGA+U was carried out for a relaxed structure of Zn3FeP3O14.

Geometry as POSCAR:
```
Zn3FeP3O14
1.0
-4.215 2.775 3.931
-3.283 -6.828 5.312
5.027 -0.138 8.544
O Zn P Fe
28 6 6 2
Cartesian
-4.425 -2.660 7.291
-1.610 -3.742 16.688
-4.187 -0.681 9.221
-4.115 -0.528 4.825
1.027 0.136 3.528
-2.328 0.016 7.244
-0.450 -0.390 5.652
-0.143 -4.207 10.542
-1.144 -2.229 7.255
-2.021 -3.802 12.134
-0.906 -1.874 3.175
-3.498 -4.328 14.258
1.954 -1.532 10.495
0.092 -0.214 8.113
-0.011 0.896 10.895
1.644 -3.663 12.961
-0.549 -4.677 14.592
-1.565 -2.318 14.611
-2.460 -5.087 6.891
2.976 0.354 7.248
-1.327 -1.963 10.531
-0.861 -0.450 1.098
1.982 -1.541 5.854
-1.922 0.485 3.194
1.716 -3.511 8.565
-5.447 -4.545 10.538
-2.563 -3.978 9.673
-4.453 -2.650 11.932
-0.554 1.275 4.507
0.198 -0.901 10.024
-3.659 1.340 3.916
1.188 -5.531 13.870
-1.917 -5.466 13.279
-2.669 -3.290 7.762
-0.768 -3.363 15.439
-1.485 -3.481 10.707
-1.703 -0.828 2.347
-0.986 -0.710 7.079
-0.954 1.951 10.217
-1.517 -6.142 7.570
0.675 -1.674 4.392
-3.146 -2.517 13.394
```

Final energy: -0.22149 hartree per atom



| no. | formation energy from the elements (eV/atom) | total moment (μB/f.u.) |
| --- | --- | --- |
| 1 | -2.120 | 26.0 |
| 2 | -2.196 | 6.0 |
| 3 | -2.367 | 7.0 |
| 4 | -0.480 | 1.0 |
| 5 | -2.581 | 0.0 |
| 6 | -2.467 | 0.0 |
| 7 | -1.937 | 9.0 |